# PBE BPb7Br3O7, relaxed
# Total DFT energy (no corrections) = -5.3362 eV per atom
# Energy relative to the elements = -1.591 eV per atom
# ρ = 7.40 g cm⁻³
data_BPb7Br3O7
_cell_length_a 16.6474
_cell_length_b 9.0767
_cell_length_c 21.7405
_cell_angle_alpha 90.00
_cell_angle_beta 97.95
_cell_angle_gamma 90.00
_space_group_name_H-M_alt 'C 1 2/c 1'
_space_group_IT_number 15
loop_
_space_group_symop_operation_xyz
'x,y,z'
'-x,-y,-z'
'-x,y,-z+1/2'
'x,-y,z+1/2'
'x+1/2,y+1/2,z'
'-x+1/2,-y+1/2,-z'
'-x+1/2,y+1/2,-z+1/2'
'x+1/2,-y+1/2,z+1/2'
loop_
_atom_site_label
_atom_site_fract_x
_atom_site_fract_y
_atom_site_fract_z
B1 0.2179 0.0026 0.2153
Pb1 0.0312 0.1522 0.4472
Pb2 0.0383 0.2397 0.6136
Pb3 0.1111 0.4611 0.0155
Pb4 0.1148 0.3656 0.1826
Pb5 0.1404 0.2332 0.7839
Pb6 0.1889 0.0641 0.0775
Pb7 0.2317 0.1654 0.3542
Br1 0.0000 0.0409 0.2500
Br2 0.0758 0.4620 0.3488
Br3 0.1683 0.1407 0.9163
Br4 0.2500 0.2500 0.5000
O1 0.0152 0.3467 0.5184
O2 0.0655 0.0450 0.5496
O3 0.1026 0.2604 0.0892
O4 0.1419 0.4223 0.6250
O5 0.1915 0.1041 0.6716
O6 0.2277 0.0350 0.7781
O7 0.2334 0.1448 0.1973



# PBE Pr2B12Br2O27, relaxed
# Total DFT energy (no corrections) = -7.1438 eV per atom
# Energy relative to the elements = -2.306 eV per atom
# ρ = 2.78 g cm⁻³
data_Pr2B12Br2O27
_cell_length_a 8.1805
_cell_length_b 14.7824
_cell_length_c 9.9236
_cell_angle_alpha 90.00
_cell_angle_beta 90.26
_cell_angle_gamma 90.00
_space_group_name_H-M_alt 'P 1 21 1'
_space_group_IT_number 4
loop_
_space_group_symop_operation_xyz
'x,y,z'
'-x,y+1/2,-z'
loop_
_atom_site_label
_atom_site_fract_x
_atom_site_fract_y
_atom_site_fract_z
Pr1 0.0984 0.0000 0.4542
Pr2 0.4003 0.6632 0.0417
B1 0.0048 0.6332 0.0476
B2 0.0495 0.5888 0.2835
B3 0.0557 0.5871 0.8112
B4 0.2032 0.0270 0.0867
B5 0.2093 0.0267 0.8270
B6 0.2409 0.7780 0.5385
B7 0.2510 0.8876 0.9646
B8 0.2922 0.6393 0.6738
B9 0.2936 0.6381 0.4152
B10 0.4487 0.0771 0.6903
B11 0.4521 0.0732 0.2174
B12 0.4999 0.0303 0.4555
Br1 0.2183 0.2801 0.4235
Br2 0.2595 0.3566 0.0134
O1 0.0215 0.8664 0.3504
O2 0.0657 0.2214 0.9422
O3 0.0973 0.0436 0.7122
O4 0.1038 0.0576 0.2014
O5 0.1126 0.6236 0.1656
O6 0.1169 0.6163 0.9330
O7 0.1288 0.0632 0.9552
O8 0.1309 0.5918 0.4041
O9 0.1415 0.5843 0.6937
O10 0.1452 0.3868 0.4698
O11 0.1920 0.8669 0.5346
O12 0.2064 0.9315 0.0815
O13 0.2468 0.9327 0.8429
O14 0.2524 0.7330 0.6600
O15 0.2773 0.7334 0.4200
O16 0.2857 0.3922 0.8553
O17 0.3002 0.7988 0.9717
O18 0.3574 0.2585 0.0491
O19 0.3620 0.0801 0.8073
O20 0.3704 0.0675 0.0971
O21 0.3732 0.6039 0.5456
O22 0.3888 0.0432 0.5700
O23 0.3958 0.0352 0.3353
O24 0.3958 0.6112 0.2998
O25 0.4061 0.6230 0.7878
O26 0.4288 0.7985 0.1683
O27 0.4318 0.4402 0.5318



| no. | magnetization (μB/f.u.) |
| --- | --- |
| 1 | 0.00 |
| 2 | 8.01 |